Record 1
The following is a PBE with a Hubbard U calculation of a geometry-optimized Cr2XeF10 structure, from the Materials Project database.

electronic total energy	-233.49	eV/cell
E_form	-2.19	eV/atom
M_tot	0.308	μB/atom

Cell lengths 8.9158, 9.5450, 10.8309 Å; angles 75.79, 81.65, 88.12 degrees
Last column: nearest neighbours and their distance in Å.
Space group P-1 (No. 2)
Asymmetric unit:
1 Cr 0.0823 0.3383 0.2110 x2  4 F 1.76-1.96
2 Cr 0.1001 0.7422 0.0582 x2  4 F 1.75-1.93
3 Cr 0.2088 0.2493 0.5265 x2  3 F 1.74-1.80
4 Cr 0.2817 0.0841 0.8756 x2  5 F 1.75-1.95
5 Xe 0.3019 0.8816 0.4349 x2  2 F 2.02-2.18
6 Xe 0.4227 0.4835 0.7782 x2  2 F 2.00-2.21
7 F 0.0467 0.6585 0.9258 x2  2 Cr 1.93-2.00
8 F 0.0573 0.5610 0.1779 x2  2 Cr 1.90-2.08
9 F 0.0647 0.1264 0.5224 x2  1 Cr 1.78
10 F 0.0886 0.6556 0.6817 x2  1 Cr 1.79
11 F 0.0968 0.3842 0.5762 x2  1 Cr 1.74
12 F 0.1014 0.1499 0.2375 x2  1 Cr 1.76
13 F 0.1102 0.8284 0.1823 x2  1 Cr 1.75
14 F 0.1241 0.2165 0.9202 x2  2 Cr 1.95-2.02
15 F 0.1342 0.9284 0.9290 x2  2 Cr 1.94-1.97
16 F 0.2066 0.3437 0.3448 x2  2 Cr 1.96
17 F 0.2157 0.1436 0.7084 x2  2 Cr 1.93-1.99
18 F 0.2466 0.3874 0.0926 x2  1 Cr 1.79
19 F 0.2756 0.6846 0.4032 x2  1 Xe 2.02
20 F 0.2930 0.7004 0.0264 x2  1 Cr 1.76
21 F 0.3318 0.0496 0.0307 x2  1 Cr 1.75
22 F 0.3489 0.0908 0.4693 x2  1 Cr 2.08, 1 Xe 2.18
23 F 0.3918 0.3278 0.5192 x2  1 Cr 1.80
24 F 0.4188 0.9744 0.8115 x2  1 Cr 1.76
25 F 0.4217 0.6997 0.7407 x2  1 Xe 2.00
26 F 0.4301 0.2446 0.8203 x2  1 Cr 1.98

---

Record 2
The following is a PBE with a Hubbard U calculation of a geometry-optimized YCrF5 structure, from the Materials Project database.

electronic total energy	-93.50	eV/cell
E_form	-3.62	eV/atom
M_tot	0.571	μB/atom

Cell lengths 4.2314, 6.9347, 8.2996 Å; angles 90.00, 90.00, 90.00 degrees
Last column: nearest neighbours and their distance in Å.
Space group Immm (No. 71)
Asymmetric unit:
1 Y 0.0000 0.0000 0.0000 x2  6 F 2.12-2.19
2 Cr 0.0000 0.0000 0.5000 x2  2 F 1.96
3 F 0.0000 0.0000 0.2640 x4  1 Cr 1.96, 1 Y 2.19
4 F 0.0000 0.3164 0.0000 x4  1 Y 2.19
5 F 0.0000 0.5000 0.5000 x2  2 Y 2.12

---

- Among the records above, which one has the highest M_tot?
  YCrF5

---

- Which value of M_tot does entry 2 give?
  0.571 μB/atom